Entry 1:
Mg5Si9 (PBE-GGA, optimized geometry); formation energy = 0.16 eV/atom
1.0
6.8711 0.0000 0.0000
3.2694 6.3863 0.0000
2.8820 0.0473 12.4828
Mg Si
10 18
direct
0.0000 0.0000 0.0000
0.0280 0.1421 0.7250
0.1115 0.8131 0.2216
0.3001 0.6346 0.6325
0.4086 0.4083 0.0610
0.5113 0.1699 0.6986
0.5468 0.0370 0.2713
0.6550 0.2837 0.4479
0.8046 0.5917 0.6071
0.8507 0.7716 0.8052
0.0181 0.4175 0.0089
0.0441 0.2855 0.3175
0.1601 0.5013 0.3900
0.1733 0.1481 0.1384
0.2004 0.0380 0.4643
0.2330 0.3053 0.5517
0.2754 0.4835 0.8623
0.4325 0.7180 0.9237
0.4351 0.8361 0.7459
0.4688 0.4413 0.2490
0.5331 0.9431 0.0274
0.5547 0.7292 0.4448
0.6419 0.1593 0.8885
0.7066 0.5766 0.2733
0.8000 0.4125 0.8910
0.8357 0.7310 0.1166
0.8429 0.8425 0.4231
0.9229 0.9449 0.5758

Entry 2:
Er25Ni49P33 (PBE-GGA, optimized geometry); formation energy = -1.03 eV/atom
1.0
21.8812 0.0000 0.0000
-10.9406 18.9497 0.0000
0.0000 0.0000 3.8114
Er Ni P
25 49 33
direct
0.0000 0.0000 0.0000
0.0013 0.1787 0.0000
0.0013 0.8226 0.0000
0.0377 0.4295 0.5000
0.0377 0.6082 0.5000
0.1774 0.1787 0.0000
0.1774 0.9987 0.0000
0.2147 0.4294 0.5000
0.2153 0.6076 0.5000
0.2147 0.7853 0.5000
0.3522 0.1761 0.0000
0.3918 0.4295 0.5000
0.3924 0.6076 0.5000
0.3924 0.7847 0.5000
0.3918 0.9624 0.5000
0.5705 0.6082 0.5000
0.5706 0.7853 0.5000
0.5705 0.9624 0.5000
0.5737 0.1474 0.5000
0.5737 0.4263 0.5000
0.8213 0.8226 0.0000
0.8213 0.9987 0.0000
0.8239 0.1761 0.0000
0.8239 0.6478 0.0000
0.8526 0.4263 0.5000
0.0597 0.1193 0.5000
0.0597 0.9403 0.5000
0.0638 0.3041 0.5000
0.0638 0.7597 0.5000
0.1523 0.3047 0.0000
0.1523 0.8477 0.0000
0.1566 0.4892 0.0000
0.1566 0.6674 0.0000
0.2364 0.1182 0.5000
0.2403 0.3041 0.5000
0.2403 0.9362 0.5000
0.3290 0.0247 0.0000
0.3290 0.3044 0.0000
0.3326 0.4892 0.0000
0.3333 0.6667 0.0000
0.3326 0.8434 0.0000
0.4143 0.1121 0.5000
0.4143 0.3022 0.5000
0.4990 0.1936 0.0000
0.4990 0.3053 0.0000
0.5107 0.0214 0.0000
0.5107 0.4893 0.0000
0.5108 0.6674 0.0000
0.5108 0.8434 0.0000
0.5807 0.2903 0.5000
0.6301 0.2603 0.0000
0.6301 0.3699 0.0000
0.6947 0.1936 0.0000
0.6947 0.5010 0.0000
0.6953 0.8477 0.0000
0.6956 0.0247 0.0000
0.6956 0.6710 0.0000
0.6959 0.7597 0.5000
0.6959 0.9362 0.5000
0.6978 0.1121 0.5000
0.6978 0.5857 0.5000
0.7097 0.2903 0.5000
0.7097 0.4193 0.5000
0.7397 0.3699 0.0000
0.8064 0.3053 0.0000
0.8064 0.5010 0.0000
0.8807 0.9403 0.5000
0.8818 0.1182 0.5000
0.8818 0.7636 0.5000
0.8879 0.3022 0.5000
0.8879 0.5857 0.5000
0.9753 0.3044 0.0000
0.9753 0.6710 0.0000
0.9786 0.4893 0.0000
0.0971 0.5485 0.0000
0.0979 0.3720 0.0000
0.0979 0.7259 0.0000
0.1170 0.0585 0.5000
0.1179 0.2357 0.5000
0.1179 0.8821 0.5000
0.2741 0.3720 0.0000
0.2739 0.5479 0.0000
0.2739 0.7261 0.0000
0.2741 0.9021 0.0000
0.2929 0.0583 0.5000
0.2929 0.2346 0.5000
0.4511 0.0769 0.0000
0.4511 0.3742 0.0000
0.4515 0.5485 0.0000
0.4515 0.9029 0.0000
0.4521 0.7261 0.0000
0.4668 0.2334 0.5000
0.6258 0.0769 0.0000
0.6258 0.5489 0.0000
0.6280 0.7259 0.0000
0.6280 0.9021 0.0000
0.7643 0.8821 0.5000
0.7654 0.0583 0.5000
0.7654 0.7071 0.5000
0.7666 0.2334 0.5000
0.7666 0.5332 0.5000
0.9231 0.3742 0.0000
0.9231 0.5489 0.0000
0.9415 0.0585 0.5000
0.9415 0.8830 0.5000
0.9417 0.2346 0.5000
0.9417 0.7071 0.5000